1.
{
  "formula": "MoBr3",
  "functional": "PBE-GGA",
  "state": "optimized geometry",
  "cell": [[-5.151, -2.043, -2.596], [-2.058, -2.895, 6.362], [-5.834, 10.839, 3.044]],
  "species": ["Br", "Br", "Br", "Br", "Br", "Br", "Br", "Br", "Br", "Br", "Br", "Br", "Mo", "Mo", "Mo", "Mo"],
  "frac_coords": [[0.500, 0.027, 0.000], [0.500, 0.607, 0.140], [0.000, 0.894, 0.148], [0.000, 0.973, 0.500], [0.500, 0.607, 0.860], [0.000, 0.393, 0.640], [0.000, 0.894, 0.852], [0.500, 0.549, 0.500], [0.500, 0.106, 0.352], [0.000, 0.393, 0.360], [0.500, 0.106, 0.648], [0.000, 0.451, 0.000], [0.729, 0.253, 0.500], [0.229, 0.747, 0.000], [0.771, 0.747, 0.000], [0.271, 0.253, 0.500]],
  "energy_mp2020_ev_per_cell": -78.68,
  "total_energy_ev_per_atom": -4.517
}

***

2.
{
  "formula": "MoBr3",
  "functional": "PBE-GGA",
  "state": "optimized geometry",
  "cell": [[2.380, 3.193, -6.386], [-2.565, -7.075, -0.059], [-5.593, 2.036, -1.066]],
  "species": ["Mo", "Mo", "Br", "Br", "Br", "Br", "Br", "Br"],
  "frac_coords": [[0.000, 0.000, 0.000], [0.000, 0.000, 0.500], [0.719, 0.719, 0.250], [0.719, 0.000, 0.750], [0.281, 0.281, 0.750], [0.000, 0.281, 0.250], [0.281, 0.000, 0.250], [0.000, 0.719, 0.750]],
  "energy_mp2020_ev_per_cell": -39.25,
  "total_energy_ev_per_atom": -4.506
}

***

3.
{
  "formula": "MoBr2",
  "functional": "PBE-GGA",
  "state": "optimized geometry",
  "cell": [[4.127, 6.298, 6.630], [-7.002, 5.313, -4.837], [-8.210, -3.307, 8.251]],
  "species": ["Br", "Br", "Br", "Br", "Br", "Br", "Br", "Br", "Br", "Br", "Br", "Br", "Br", "Br", "Br", "Br", "Br", "Br", "Br", "Br", "Br", "Br", "Br", "Br", "Mo", "Mo", "Mo", "Mo", "Mo", "Mo", "Mo", "Mo", "Mo", "Mo", "Mo", "Mo"],
  "frac_coords": [[0.546, 0.315, 0.706], [0.091, 0.322, 0.931], [0.778, 0.222, 0.500], [0.409, 0.178, 0.431], [0.315, 0.546, 0.706], [0.278, 0.722, 0.000], [0.178, 0.409, 0.431], [0.454, 0.685, 0.294], [0.822, 0.591, 0.569], [0.954, 0.185, 0.206], [0.685, 0.454, 0.294], [0.185, 0.954, 0.206], [0.815, 0.046, 0.794], [0.722, 0.278, 0.000], [0.678, 0.909, 0.069], [0.909, 0.678, 0.069], [0.046, 0.815, 0.794], [0.345, 0.345, 0.155], [0.591, 0.822, 0.569], [0.222, 0.778, 0.500], [0.155, 0.155, 0.655], [0.655, 0.655, 0.845], [0.845, 0.845, 0.345], [0.322, 0.091, 0.931], [0.618, 0.382, 0.500], [0.382, 0.618, 0.500], [0.882, 0.118, 0.000], [0.139, 0.139, 0.069], [0.431, 0.431, 0.362], [0.361, 0.361, 0.569], [0.569, 0.569, 0.638], [0.639, 0.639, 0.431], [0.069, 0.069, 0.862], [0.861, 0.861, 0.931], [0.118, 0.882, 0.000], [0.931, 0.931, 0.138]],
  "energy_mp2020_ev_per_cell": -207.09,
  "total_energy_ev_per_atom": -5.397
}